# 1
First-principles (meta-GGA r2SCAN) data for crystalline Y3Si6N11 at its relaxed geometry, as listed in the Materials Project database.

It has space group P4bm (No. 100), with a = 9.9004 Å, b = 9.9004 Å, c = 4.8512 Å, α = 90.00°, β = 90.00° and γ = 90.00°. The asymmetric unit holds Y at (0.0000, 0.0000, 0.0000), Y at (0.1825, 0.3175, 0.0123), Si at (0.0799, 0.7918, 0.5576), Si at (0.1191, 0.6191, 0.0695), N at (0.0000, 0.5000, 0.1000), N at (0.0792, 0.1812, 0.6793), N at (0.0791, 0.7764, 0.2034) and N at (0.1525, 0.6525, 0.7215).

The calculation puts the formation energy at -1570 meV/atom. The crystal system is tetragonal.


# 2
First-principles (meta-GGA r2SCAN) data for crystalline CaAl3Au at its relaxed geometry, as listed in the Materials Project database.

It has space group Cm (No. 8), with a = 5.8881 Å, b = 5.8980 Å, c = 6.4865 Å, α = 90.00°, β = 116.81° and γ = 90.00°. The asymmetric unit holds Ca at (0.0000, 0.0000, 0.0000), Al at (0.0050, 0.2495, 0.5099), Al at (0.1098, 0.5000, 0.2193) and Au at (0.3908, 0.0000, 0.7817).

The calculation puts the formation energy at -550 meV/atom. The crystal system is monoclinic.


# 3
First-principles (meta-GGA r2SCAN) data for crystalline Lu2S3O12 at its relaxed geometry, as listed in the Materials Project database.

It has space group R-3c (No. 167, hexagonal axes), with a = 8.9939 Å, b = 8.9939 Å, c = 23.1444 Å, α = 90.00°, β = 90.00° and γ = 120.00°. The asymmetric unit holds Lu at (0.0000, 0.0000, 0.1438), S at (0.0000, 0.2866, 0.2500), O at (0.0275, 0.2070, 0.1989) and O at (0.0285, 0.2104, 0.9083).

The calculation puts the formation energy at -2380 meV/atom. The crystal system is trigonal.


# 4
First-principles (meta-GGA r2SCAN) data for crystalline NbAlCu at its relaxed geometry, as listed in the Materials Project database.

It has space group Amm2 (No. 38), with a = 8.0789 Å, b = 5.0664 Å, c = 8.5631 Å, α = 90.00°, β = 90.00° and γ = 90.00°. The asymmetric unit holds Nb at (0.1827, 0.0000, 0.0000), Nb at (0.3121, 0.0000, 0.6739), Al at (0.2369, 0.0000, 0.3320), Al at (0.5000, 0.2420, 0.9316), Cu at (0.0000, 0.0000, 0.5074), Cu at (0.0000, 0.2398, 0.7479) and Cu at (0.5000, 0.0000, 0.1763).

The calculation puts the formation energy at -338 meV/atom. The crystal system is orthorhombic.


# 5
First-principles (meta-GGA r2SCAN) data for crystalline CdAu at its relaxed geometry, as listed in the Materials Project database.

It has space group Pm-3m (No. 221), with a = 3.3610 Å, b = 3.3610 Å, c = 3.3610 Å, α = 90.00°, β = 90.00° and γ = 90.00°. The asymmetric unit holds Cd at (0.0000, 0.0000, 0.0000) and Au at (0.5000, 0.5000, 0.5000).

The calculation puts the formation energy at -199 meV/atom. The crystal system is cubic.


# 6
First-principles (meta-GGA r2SCAN) data for crystalline Lu2MgOs at its relaxed geometry, as listed in the Materials Project database.

It has space group Fm-3m (No. 225), with a = 6.8832 Å, b = 6.8832 Å, c = 6.8832 Å, α = 90.00°, β = 90.00° and γ = 90.00°. The asymmetric unit holds Lu at (0.2500, 0.2500, 0.2500), Mg at (0.0000, 0.0000, 0.0000) and Os at (0.0000, 0.0000, 0.5000).

The calculation puts the formation energy at -280 meV/atom. The crystal system is cubic.


# 7
First-principles (meta-GGA r2SCAN) data for crystalline CeMg3 at its relaxed geometry, as listed in the Materials Project database.

It has space group P6_3/mmc (No. 194), with a = 6.8360 Å, b = 6.8360 Å, c = 5.2232 Å, α = 90.00°, β = 90.00° and γ = 120.00°. The asymmetric unit holds Ce at (0.3333, 0.6667, 0.2500) and Mg at (0.1621, 0.3241, 0.7500).

The calculation puts the formation energy at 0 meV/atom. The crystal system is hexagonal.


# 8
First-principles (meta-GGA r2SCAN) data for crystalline TaCl5 at its relaxed geometry, as listed in the Materials Project database.

It has space group C2/m (No. 12), with a = 18.8611 Å, b = 18.1419 Å, c = 6.0133 Å, α = 90.00°, β = 90.82° and γ = 90.00°. The asymmetric unit holds Ta at (0.0000, 0.1091, 0.0000), Ta at (0.1666, 0.3909, 0.4760), Cl at (0.0502, 0.0000, 0.2208), Cl at (0.0542, 0.1883, 0.2384), Cl at (0.0678, 0.4031, 0.2467), Cl at (0.0990, 0.0967, 0.7807), Cl at (0.1122, 0.3117, 0.7095), Cl at (0.1162, 0.5000, 0.6913), Cl at (0.2168, 0.5000, 0.2602), Cl at (0.2211, 0.3116, 0.2430) and Cl at (0.2346, 0.0966, 0.2952).

The calculation puts the formation energy at -1487 meV/atom. The crystal system is monoclinic.


# 9
First-principles (meta-GGA r2SCAN) data for crystalline PrAgPb at its relaxed geometry, as listed in the Materials Project database.

It has space group P6_3mc (No. 186), with a = 4.8754 Å, b = 4.8754 Å, c = 7.7972 Å, α = 90.00°, β = 90.00° and γ = 120.00°. The asymmetric unit holds Pr at (0.0000, 0.0000, 0.0000), Ag at (0.3333, 0.6667, 0.3073) and Pb at (0.3333, 0.6667, 0.7195).

The calculation puts the formation energy at -574 meV/atom. The crystal system is hexagonal.


# 10
First-principles (meta-GGA r2SCAN) data for crystalline Sm2Te3 at its relaxed geometry, as listed in the Materials Project database.

It has space group I-42d (No. 122), with a = 9.4562 Å, b = 9.4562 Å, c = 28.4798 Å, α = 90.00°, β = 90.00° and γ = 90.00°. The asymmetric unit holds Sm at (0.0000, 0.0000, 0.1675), Sm at (0.1171, 0.7500, 0.6250), Sm at (0.1301, 0.7423, 0.9601), Te at (0.0693, 0.6767, 0.1837), Te at (0.0717, 0.6812, 0.8540) and Te at (0.0793, 0.6775, 0.5167).

The calculation puts the formation energy at -1664 meV/atom. The crystal system is tetragonal.


# 11
First-principles (meta-GGA r2SCAN) data for crystalline Pa at its relaxed geometry, as listed in the Materials Project database.

It has space group I4/mmm (No. 139), with a = 3.9296 Å, b = 3.9296 Å, c = 3.1681 Å, α = 90.00°, β = 90.00° and γ = 90.00°. The asymmetric unit holds Pa at (0.0000, 0.0000, 0.0000).

The calculation puts the formation energy at 0 meV/atom. Its energy above the lowest structure with this stoichiometry is 0 meV/atom. The crystal system is tetragonal.


# 12
First-principles (meta-GGA r2SCAN) data for crystalline HoSn3 at its relaxed geometry, as listed in the Materials Project database.

It has space group Pm-3m (No. 221), with a = 4.6811 Å, b = 4.6811 Å, c = 4.6811 Å, α = 90.00°, β = 90.00° and γ = 90.00°. The asymmetric unit holds Ho at (0.0000, 0.0000, 0.0000) and Sn at (0.0000, 0.5000, 0.5000).

The calculation puts the formation energy at -384 meV/atom. The crystal system is cubic.


One value per record, in order, for energy: -12.270; -16.114; -12.494; -14.442; -35.544; -33.609; -10.837; -14.713; -36.256; -28.807; -76.856; -27.164 eV per atom.